--- A ---
Crystalline Bi2S3O12 at its relaxed geometry, computed with PBE.

* crystal system: trigonal
* space-group type: R-3 (148)
* theoretical density: 3.94 Mg/m³

The structure in POSCAR format:
```
Bi2S3O12
1.0
4.5729 2.6402 8.2198
-4.5729 2.6402 8.2198
0.0000 -5.2803 8.2198
Bi S O
4 6 24
Cartesian
0.0000 0.0000 3.5419
0.0000 0.0000 8.5968
0.0000 0.0000 16.0628
0.0000 0.0000 21.1176
-1.9437 -2.6813 10.2642
-3.2940 0.3426 14.3953
-1.3503 3.0240 10.2642
1.3503 -3.0240 14.3953
3.2940 -0.3426 10.2642
1.9437 2.6814 14.3953
-2.5914 -2.5913 11.6012
-0.7204 -3.5297 10.3586
-3.4170 -1.1409 14.3009
-1.5737 -1.3161 9.8159
-1.6987 0.6807 7.1585
-3.5398 0.9486 13.0583
0.2599 -1.8114 7.1585
-2.6966 2.3887 10.3586
0.9484 -3.5399 13.0583
-1.9266 0.7048 14.8436
-1.4388 -1.1308 17.5010
-0.3529 2.0209 9.8159
0.3529 -2.0209 14.8436
1.4388 1.1308 7.1585
1.9266 -0.7048 9.8159
-0.9484 3.5399 11.6012
2.6966 -2.3887 14.3009
-0.2599 1.8114 17.5010
3.5398 -0.9486 11.6012
1.6987 -0.6807 17.5010
1.5737 1.3161 14.8436
3.4170 1.1409 10.3586
0.7204 3.5297 14.3009
2.5914 2.5913 13.0583
```

--- B ---
Crystalline Bi2S3O12 at its relaxed geometry, computed with PBE.

* crystal system: orthorhombic
* space-group type: Pbca (61)
* theoretical density: 4.23 Mg/m³

The structure in POSCAR format:
```
Bi2S3O12
1.0
9.2033 0.0000 0.0000
0.0000 9.3534 0.0000
0.0000 0.0000 25.7554
Bi S O
16 24 96
Cartesian
9.2022 0.9864 1.6765
9.2022 3.6904 14.5542
0.0011 5.6631 11.2012
0.0011 8.3671 24.0789
0.0487 1.8712 8.2391
0.0487 2.8056 21.1168
4.5529 6.5479 8.2391
4.5529 7.4823 21.1168
4.6005 0.9864 11.2012
4.6005 3.6904 24.0789
4.6028 5.6631 1.6765
4.6028 8.3671 14.5542
4.6504 1.8712 4.6386
4.6504 2.8056 17.5163
9.1546 6.5479 4.6386
9.1546 7.4823 17.5163
1.3380 5.1759 7.6565
1.3380 8.8543 20.5342
1.3652 2.2555 11.5819
1.3652 2.4212 24.4596
1.7766 0.8306 15.8622
1.7766 3.8461 2.9845
2.8251 5.5074 15.8622
2.8251 8.5228 2.9845
3.2365 6.9322 11.5819
3.2365 7.0979 24.4596
3.2636 0.4992 7.6565
3.2636 4.1776 20.5342
5.9397 5.1759 5.2212
5.9397 8.8543 18.0989
5.9668 2.2555 1.2958
5.9668 2.4212 14.1735
6.3782 0.8306 22.7709
6.3782 3.8461 9.8932
7.4267 5.5074 22.7709
7.4267 8.5228 9.8932
7.8381 6.9322 1.2958
7.8381 7.0979 14.1735
7.8653 0.4992 5.2212
7.8653 4.1776 18.0989
0.6102 1.0818 11.9256
0.6102 3.5949 24.8033
0.7862 0.7876 20.0326
0.7799 1.1574 25.1761
0.7799 3.5193 12.2984
0.7862 3.8891 7.1549
0.8553 5.4459 9.0343
0.8553 8.5843 21.9120
0.8838 1.6948 15.0360
0.8838 2.9819 2.1583
0.9120 6.3010 6.7747
0.9120 7.7291 19.6524
0.9374 0.1444 16.8803
0.9374 4.5323 4.0026
1.3317 2.0734 22.9953
1.3317 2.6033 10.1176
1.7685 0.4140 7.6502
1.7685 4.2627 20.5279
1.8004 6.3272 16.5512
1.8022 6.8858 12.0190
1.8022 7.1443 24.8967
1.8004 7.7030 3.6735
2.1898 0.1580 2.0769
2.1898 4.5187 14.9546
2.4118 4.8347 2.0769
2.4118 9.1954 14.9546
2.8012 1.6504 16.5512
2.7995 2.2091 12.0190
2.7995 2.4676 24.8967
2.8012 3.0263 3.6735
2.8332 5.0907 7.6502
2.8332 8.9394 20.5279
3.2699 6.7501 22.9953
3.2699 7.2800 10.1176
3.6643 4.8212 16.8803
3.6643 9.2090 4.0026
3.6897 1.6243 6.7747
3.6897 3.0524 19.6524
3.7178 6.3715 15.0360
3.7178 7.6586 2.1583
3.7464 0.7692 9.0343
3.7464 3.9076 21.9120
3.8154 5.4643 20.0326
3.8217 5.8341 25.1761
3.8217 8.1960 12.2984
3.8154 8.5658 7.1549
3.9914 5.7586 11.9256
3.9914 8.2716 24.8033
5.2119 1.0818 0.9522
5.2119 3.5949 13.8299
5.3879 0.7876 18.6006
5.3816 1.1574 13.4570
5.3816 3.5193 0.5793
5.3879 3.8891 5.7229
5.4569 5.4459 3.8435
5.4569 8.5843 16.7212
5.4855 1.6948 23.5972
5.4855 2.9819 10.7195
5.5136 6.3010 6.1031
5.5136 7.7291 18.9808
5.5390 0.1444 21.7528
5.5390 4.5323 8.8751
5.9334 2.0734 15.6378
5.9334 2.6033 2.7601
6.3701 0.4140 5.2276
6.3701 4.2627 18.1053
6.4021 6.3272 22.0819
6.4038 6.8858 0.8587
6.4038 7.1443 13.7364
6.4021 7.7030 9.2042
6.7915 0.1580 10.8008
6.7915 4.5187 23.6785
7.0135 4.8347 10.8008
7.0135 9.1954 23.6785
7.4029 1.6504 22.0819
7.4011 2.2091 0.8587
7.4011 2.4676 13.7364
7.4029 3.0263 9.2042
7.4348 5.0907 5.2276
7.4348 8.9394 18.1053
7.8716 6.7501 15.6378
7.8716 7.2800 2.7601
8.2659 4.8212 21.7528
8.2659 9.2090 8.8751
8.2913 1.6243 6.1031
8.2913 3.0524 18.9808
8.3195 6.3715 23.5972
8.3195 7.6586 10.7195
8.3480 0.7692 3.8435
8.3480 3.9076 16.7212
8.4171 5.4643 18.6006
8.4234 5.8341 13.4570
8.4234 8.1960 0.5793
8.4171 8.5658 5.7229
8.5931 5.7586 0.9522
8.5931 8.2716 13.8299
```

--- C ---
Crystalline Bi2S3O12 at its relaxed geometry, computed with PBE.

* crystal system: trigonal
* space-group type: R-3c (167)
* theoretical density: 3.93 Mg/m³

The structure in POSCAR format:
```
Bi2S3O12
1.0
4.7354 2.7340 7.6864
-4.7354 2.7340 7.6864
0.0000 -5.4680 7.6864
Bi S O
4 6 24
Cartesian
0.0000 0.0000 3.2125
0.0000 0.0000 8.3171
0.0000 0.0000 14.7422
0.0000 0.0000 19.8468
-3.3362 -0.3105 9.6081
-1.3992 -3.0445 13.4513
1.9370 -2.7340 9.6081
-1.9370 2.7340 13.4513
1.3992 3.0445 9.6081
3.3362 0.3105 13.4513
-3.8065 -1.0013 10.8334
-3.9564 1.0437 9.4994
-1.0361 -1.6708 6.9901
-2.8821 -2.9045 13.5600
-1.0361 -3.7972 12.2260
-1.8534 -0.1705 9.7168
1.0743 -3.9482 9.4993
-0.9289 1.7327 6.9901
-0.7790 -1.6903 13.3426
-2.7705 2.7959 12.2260
1.0743 -1.5198 9.7168
-1.9650 0.0619 16.0692
1.9650 -0.0619 6.9901
-1.0743 1.5198 13.3426
2.7705 -2.7959 10.8334
0.7790 1.6903 9.7168
0.9289 -1.7327 16.0692
-1.0743 3.9482 13.5600
1.8534 0.1705 13.3426
1.0361 3.7972 10.8334
2.8821 2.9045 9.4994
1.0361 1.6708 16.0692
3.9564 -1.0437 13.5600
3.8065 1.0013 12.2260
```

The structure with the greatest stability is A.

--- A ---
Crystalline Sr6Bi2O11 at its relaxed geometry, computed with PBE.

* crystal system: monoclinic
* space-group type: P2_1/m (11)
* theoretical density: 5.68 Mg/m³

The structure in POSCAR format:
```
Sr6Bi2O11
1.0
8.6176 0.0000 0.0000
0.0000 8.5826 0.0000
-0.0193 0.0000 8.8560
Sr Bi O
12 4 22
Cartesian
0.1109 0.1410 1.9113
0.1109 4.1503 1.9113
2.1409 6.4370 4.4383
2.1471 2.1457 8.1624
4.1503 0.1144 1.9179
4.1503 4.1769 1.9179
4.4479 4.4058 6.9381
4.4479 8.4682 6.9381
6.4511 6.4370 0.6935
6.4574 2.1457 4.4176
8.4873 4.4324 6.9447
8.4873 8.4416 6.9447
2.1356 2.1457 4.7486
2.1501 6.4370 0.0060
6.4482 2.1457 8.8500
6.4626 6.4370 4.1073
-0.0001 6.4370 8.7802
0.1382 2.1457 5.4428
2.0651 6.4370 6.7987
2.1269 2.1457 2.6436
2.1434 0.1654 5.4808
2.1434 4.1260 5.4808
2.1597 4.3138 0.1343
2.1597 8.5602 0.1343
2.1916 6.4370 2.0721
4.1417 2.1457 5.4094
4.2596 6.4370 8.7143
4.3386 2.1457 0.1417
4.4566 6.4370 3.4466
6.4066 2.1457 6.7839
6.4385 0.0224 8.7216
6.4385 4.2689 8.7216
6.4549 4.4567 3.3751
6.4549 8.4173 3.3751
6.4713 6.4370 6.2123
6.5332 2.1457 2.0573
8.4600 6.4370 3.4131
8.5984 2.1457 0.0758
```

--- B ---
Crystalline Sr6Bi2O11 at its relaxed geometry, computed with PBE.

* crystal system: tetragonal
* space-group type: P4/nmm (129)
* theoretical density: 5.33 Mg/m³

The structure in POSCAR format:
```
Sr6Bi2O11
1.0
8.7445 0.0000 0.0000
0.0000 8.7445 0.0000
0.0000 0.0000 9.1300
Sr Bi O
12 4 22
Cartesian
0.2396 0.2396 1.8947
0.2396 4.1326 1.8947
2.1861 2.1861 8.4998
2.1861 6.5584 4.5650
4.1326 0.2396 1.8947
4.1326 4.1326 1.8947
4.6119 4.6119 7.2353
4.6119 8.5049 7.2353
6.5584 2.1861 4.5650
6.5584 6.5584 0.6301
8.5049 4.6119 7.2353
8.5049 8.5049 7.2353
2.1861 2.1861 4.1946
2.1861 6.5584 0.0000
6.5584 2.1861 0.0000
6.5584 6.5584 4.9353
0.0312 6.5584 8.9826
0.1768 2.1861 3.5231
2.1861 0.1768 3.5231
2.1861 2.1861 6.2330
2.1861 4.1954 3.5231
2.1861 4.4034 0.1473
2.1861 6.5584 2.0906
2.1861 6.5584 7.0394
2.1861 8.7133 0.1473
4.1954 2.1861 3.5231
4.3411 6.5584 8.9826
4.4034 2.1861 0.1473
4.5491 6.5584 5.6068
6.5584 0.0312 8.9826
6.5584 2.1861 2.0906
6.5584 2.1861 7.0394
6.5584 4.3411 8.9826
6.5584 4.5491 5.6068
6.5584 6.5584 2.8969
6.5584 8.5677 5.6068
8.5677 6.5584 5.6068
8.7133 2.1861 0.1473
```

The structure with the greatest stability is B.

--- A ---
Crystalline SrBi5O9 at its relaxed geometry, computed with PBE.

* crystal system: triclinic
* space-group type: P1 (1)
* theoretical density: 7.40 Mg/m³

The structure in POSCAR format:
```
SrBi5O9
1.0
3.9035 0.0000 0.0000
0.0162 7.0083 0.0000
1.8004 1.3187 10.4670
Sr Bi O
1 5 9
Cartesian
0.0000 0.0000 0.0000
1.8291 3.5997 7.2030
1.9447 1.1313 3.2066
3.7549 4.8066 10.1417
3.7433 7.0170 7.1882
3.8986 4.6183 3.0377
1.7900 3.5930 9.3323
1.7895 6.6681 6.3398
1.9444 5.8002 3.0072
1.9497 1.2051 1.1257
3.7691 7.0645 9.3320
3.7324 4.8131 7.7733
3.7218 2.1840 7.2539
3.9022 2.3295 3.3171
3.9026 4.5444 0.9421
```

--- B ---
Crystalline SrBi5O9 at its relaxed geometry, computed with PBE.

* crystal system: triclinic
* space-group type: P1 (1)
* theoretical density: 7.81 Mg/m³

The structure in POSCAR format:
```
SrBi5O9
1.0
4.0657 0.0000 0.0000
-0.0102 6.8948 0.0000
-2.0125 -1.4260 9.6881
Sr Bi O
1 5 9
Cartesian
0.0000 0.0000 0.0000
-0.0040 2.4306 2.9667
0.0165 -0.2601 6.5018
2.0028 3.4607 0.0103
1.9966 5.5811 3.0958
2.0555 3.2173 6.4198
-0.0045 2.4961 0.8246
0.0583 0.2130 2.8618
0.0063 4.5274 3.7607
0.0247 2.0557 6.3247
0.0153 -0.2388 8.5784
2.0164 5.5929 0.9703
2.0238 3.1951 2.4751
2.0371 5.5182 6.5157
2.0715 3.1473 8.4870
```

The structure with the greatest stability is B.